No. 1
Density functional theory data (PBE) for a geometry-optimized Na2HgAuF6 structure.

Structure (CIF):
```
data_Na2HgAuF6
_chemical_formula_sum 'Na8 Hg4 Au4 F24'
_cell_length_a 9.031
_cell_length_b 9.031
_cell_length_c 9.031
_cell_angle_alpha 90.00
_cell_angle_beta 90.00
_cell_angle_gamma 90.00
_symmetry_space_group_name_H-M 'F m -3 m'
_symmetry_Int_Tables_number 225
_symmetry_space_group_name_Hall '-F 4 2 3'
loop_
_atom_site_label
_atom_site_type_symbol
_atom_site_fract_x
_atom_site_fract_y
_atom_site_fract_z
_atom_site_occupancy
Na1 Na 0.250 0.250 0.250 1
Hg1 Hg 0.000 0.000 0.000 1
Au1 Au 0.000 0.000 0.500 1
F1 F 0.000 0.000 0.252 1
```

Results
**VASP energy**: -3.3223 eV/atom
**Volume**: 18.42 A^3/atom
**DFT formation energy**: -1.828 eV per atom

---

No. 2
Density functional theory data (PBE) for a geometry-optimized SrFe2P2 structure.

Structure (CIF):
```
data_SrFe2P2
_chemical_formula_sum 'Sr2 Fe4 P4'
_cell_length_a 3.819
_cell_length_b 3.819
_cell_length_c 11.378
_cell_angle_alpha 90.00
_cell_angle_beta 90.00
_cell_angle_gamma 90.00
_symmetry_space_group_name_H-M 'I 4/m m m'
_symmetry_Int_Tables_number 139
_symmetry_space_group_name_Hall '-I 4 2'
loop_
_atom_site_label
_atom_site_type_symbol
_atom_site_fract_x
_atom_site_fract_y
_atom_site_fract_z
_atom_site_occupancy
Sr1 Sr 0.000 0.000 0.000 1
Fe1 Fe 0.000 0.500 0.250 1
P1 P 0.000 0.000 0.346 1
```

Results
**VASP energy**: -6.7150 eV/atom
**Volume**: 16.59 A^3/atom
**DFT formation energy**: -0.824 eV per atom

---

No. 3
Density functional theory data (PBE) for a geometry-optimized Na8Ti3ZnSi5SO24 structure.

Structure (CIF):
```
data_Na8Ti3ZnSi5SO24
_chemical_formula_sum 'Na24 Ti9 Zn3 Si15 S3 O72'
_cell_length_a 9.060
_cell_length_b 9.063
_cell_length_c 22.051
_cell_angle_alpha 90.23
_cell_angle_beta 90.39
_cell_angle_gamma 119.97
_symmetry_space_group_name_H-M 'P 1'
_symmetry_Int_Tables_number 1
_symmetry_space_group_name_Hall 'P 1'
loop_
_atom_site_label
_atom_site_type_symbol
_atom_site_fract_x
_atom_site_fract_y
_atom_site_fract_z
_atom_site_occupancy
Na1 Na 0.000 0.000 0.000 1
Na2 Na 0.001 0.353 0.511 1
Na3 Na 0.263 0.628 0.010 1
Na4 Na 0.275 0.999 0.511 1
Na5 Na 0.290 0.946 0.174 1
Na6 Na 0.296 0.321 0.921 1
Na7 Na 0.301 0.699 0.677 1
Na8 Na 0.304 0.331 0.430 1
Na9 Na 0.349 0.672 0.348 1
Na10 Na 0.353 0.035 0.844 1
Na11 Na 0.597 0.672 0.840 1
Na12 Na 0.604 0.293 0.350 1
Na13 Na 0.620 0.630 0.511 1
Na14 Na 0.631 0.350 0.003 1
Na15 Na 0.635 0.994 0.762 1
Na16 Na 0.637 0.983 0.259 1
Na17 Na 0.673 0.329 0.676 1
Na18 Na 0.684 0.703 0.178 1
Na19 Na 0.931 0.958 0.677 1
Na20 Na 0.938 0.341 0.174 1
Na21 Na 0.950 0.019 0.345 1
Na22 Na 0.959 0.276 0.844 1
Na23 Na 0.970 0.661 0.597 1
Na24 Na 0.972 0.661 0.094 1
Ti1 Ti 0.289 0.317 0.074 1
Ti2 Ti 0.300 0.328 0.575 1
Ti3 Ti 0.302 0.327 0.778 1
Ti4 Ti 0.316 0.340 0.272 1
Ti5 Ti 0.631 0.009 0.113 1
Ti6 Ti 0.633 0.993 0.610 1
Ti7 Ti 0.947 0.655 0.452 1
Ti8 Ti 0.969 0.663 0.739 1
Ti9 Ti 0.979 0.660 0.940 1
Zn1 Zn 0.634 0.981 0.420 1
Zn2 Zn 0.640 0.013 0.903 1
Zn3 Zn 0.960 0.665 0.234 1
Si1 Si 0.008 0.041 0.176 1
Si2 Si 0.010 0.326 0.675 1
Si3 Si 0.260 0.658 0.839 1
Si4 Si 0.304 0.039 0.675 1
Si5 Si 0.308 0.624 0.173 1
Si6 Si 0.337 0.697 0.507 1
Si7 Si 0.340 0.997 0.006 1
Si8 Si 0.590 0.328 0.172 1
Si9 Si 0.591 0.619 0.676 1
Si10 Si 0.628 0.280 0.506 1
Si11 Si 0.672 0.662 0.339 1
Si12 Si 0.679 0.378 0.840 1
Si13 Si 0.928 0.288 0.007 1
Si14 Si 0.929 0.000 0.507 1
Si15 Si 0.972 0.952 0.841 1
S1 S 0.258 0.956 0.341 1
S2 S 0.634 0.702 0.009 1
S3 S 0.973 0.373 0.340 1
O1 O 0.104 0.295 0.734 1
O2 O 0.106 0.166 0.236 1
O3 O 0.123 0.159 0.516 1
O4 O 0.124 0.320 0.016 1
O5 O 0.128 0.140 0.117 1
O6 O 0.132 0.354 0.616 1
O7 O 0.132 0.357 0.340 1
O8 O 0.133 0.850 0.678 1
O9 O 0.138 0.631 0.900 1
O10 O 0.141 0.643 0.179 1
O11 O 0.146 0.681 0.499 1
O12 O 0.148 0.138 0.837 1
O13 O 0.149 0.822 0.005 1
O14 O 0.156 0.868 0.395 1
O15 O 0.161 0.682 0.781 1
O16 O 0.179 0.856 0.285 1
O17 O 0.266 0.128 0.339 1
O18 O 0.266 0.481 0.837 1
O19 O 0.277 0.133 0.616 1
O20 O 0.282 0.502 0.115 1
O21 O 0.309 0.505 0.516 1
O22 O 0.314 0.165 0.015 1
O23 O 0.335 0.163 0.734 1
O24 O 0.339 0.529 0.233 1
O25 O 0.433 0.984 0.343 1
O26 O 0.434 0.829 0.564 1
O27 O 0.438 0.968 0.067 1
O28 O 0.445 0.825 0.844 1
O29 O 0.449 0.764 0.446 1
O30 O 0.458 0.037 0.948 1
O31 O 0.468 0.314 0.514 1
O32 O 0.468 0.527 0.734 1
O33 O 0.469 0.298 0.233 1
O34 O 0.476 0.022 0.668 1
O35 O 0.481 0.479 0.338 1
O36 O 0.481 0.526 0.014 1
O37 O 0.484 0.809 0.169 1
O38 O 0.491 0.350 0.114 1
O39 O 0.492 0.367 0.837 1
O40 O 0.498 0.498 0.616 1
O41 O 0.598 0.171 0.445 1
O42 O 0.599 0.150 0.170 1
O43 O 0.608 0.776 0.954 1
O44 O 0.608 0.808 0.669 1
O45 O 0.647 0.827 0.344 1
O46 O 0.653 0.808 0.064 1
O47 O 0.663 0.193 0.839 1
O48 O 0.666 0.190 0.565 1
O49 O 0.774 0.636 0.399 1
O50 O 0.775 0.496 0.901 1
O51 O 0.780 0.489 0.175 1
O52 O 0.781 0.639 0.678 1
O53 O 0.785 0.688 0.279 1
O54 O 0.791 0.687 0.008 1
O55 O 0.798 0.478 0.781 1
O56 O 0.798 0.960 0.564 1
O57 O 0.800 0.187 0.066 1
O58 O 0.802 0.966 0.842 1
O59 O 0.806 0.474 0.502 1
O60 O 0.820 0.201 0.342 1
O61 O 0.821 0.027 0.170 1
O62 O 0.821 0.154 0.668 1
O63 O 0.857 0.167 0.948 1
O64 O 0.863 0.043 0.445 1
O65 O 0.940 0.476 0.005 1
O66 O 0.946 0.824 0.501 1
O67 O 0.953 0.834 0.781 1
O68 O 0.962 0.457 0.285 1
O69 O 0.990 0.476 0.396 1
O70 O 0.990 0.496 0.678 1
O71 O 0.995 0.858 0.175 1
O72 O 0.998 0.855 0.901 1
```

Results
**VASP energy**: -6.8140 eV/atom
**Volume**: 12.45 A^3/atom
**DFT formation energy**: -2.789 eV per atom

---

No. 4
Density functional theory data (PBE) for a geometry-optimized Sr2CePrCu3Pb2O10 structure.

Structure (CIF):
```
data_Sr2CePrCu3Pb2O10
_chemical_formula_sum 'Sr2 Ce1 Pr1 Cu3 Pb2 O10'
_cell_length_a 3.874
_cell_length_b 3.903
_cell_length_c 18.958
_cell_angle_alpha 85.04
_cell_angle_beta 84.38
_cell_angle_gamma 89.98
_symmetry_space_group_name_H-M 'P 1'
_symmetry_Int_Tables_number 1
_symmetry_space_group_name_Hall 'P 1'
loop_
_atom_site_label
_atom_site_type_symbol
_atom_site_fract_x
_atom_site_fract_y
_atom_site_fract_z
_atom_site_occupancy
Sr1 Sr 0.000 0.000 0.000 1
Sr2 Sr 0.243 0.261 0.528 1
Ce1 Ce 0.337 0.348 0.334 1
Pr1 Pr 0.907 0.913 0.193 1
Cu1 Cu 0.122 0.131 0.763 1
Cu2 Cu 0.456 0.462 0.094 1
Cu3 Cu 0.789 0.799 0.431 1
Pb1 Pb 0.568 0.584 0.857 1
Pb2 Pb 0.676 0.677 0.669 1
O1 O 0.059 0.983 0.859 1
O2 O 0.186 0.277 0.666 1
O3 O 0.294 0.803 0.419 1
O4 O 0.370 0.878 0.270 1
O5 O 0.451 0.958 0.104 1
O6 O 0.513 0.511 0.973 1
O7 O 0.731 0.750 0.553 1
O8 O 0.794 0.303 0.419 1
O9 O 0.869 0.380 0.270 1
O10 O 0.950 0.455 0.106 1
```

Results
**VASP energy**: -6.3538 eV/atom
**Volume**: 14.96 A^3/atom
**DFT formation energy**: -2.331 eV per atom

---

No. 5
Density functional theory data (PBE) for a geometry-optimized SrHfMg6O8 structure.

Structure (CIF):
```
data_SrHfMg6O8
_chemical_formula_sum 'Sr1 Hf1 Mg6 O8'
_cell_length_a 4.515
_cell_length_b 4.515
_cell_length_c 8.967
_cell_angle_alpha 90.00
_cell_angle_beta 90.00
_cell_angle_gamma 90.00
_symmetry_space_group_name_H-M 'P 4/m m m'
_symmetry_Int_Tables_number 123
_symmetry_space_group_name_Hall '-P 4 2'
loop_
_atom_site_label
_atom_site_type_symbol
_atom_site_fract_x
_atom_site_fract_y
_atom_site_fract_z
_atom_site_occupancy
Sr1 Sr 0.000 0.000 0.000 1
Hf1 Hf 0.500 0.500 0.000 1
Mg1 Mg 0.000 0.000 0.500 1
Mg2 Mg 0.000 0.500 0.268 1
Mg3 Mg 0.500 0.500 0.500 1
O1 O 0.000 0.000 0.275 1
O2 O 0.000 0.500 0.000 1
O3 O 0.000 0.500 0.500 1
O4 O 0.500 0.500 0.256 1
```

Results
**Distance to the lowest polymorph of the same formula**: 0 meV/atom
**VASP energy**: -6.1921 eV/atom
**Volume**: 11.42 A^3/atom
**DFT formation energy**: -2.734 eV per atom

---

No. 6
Density functional theory data (PBE) for a geometry-optimized Zr2N2O structure.

Structure (CIF):
```
data_Zr2N2O
_chemical_formula_sum 'Zr16 N16 O8'
_cell_length_a 8.861
_cell_length_b 8.868
_cell_length_c 8.885
_cell_angle_alpha 109.44
_cell_angle_beta 109.38
_cell_angle_gamma 109.45
_symmetry_space_group_name_H-M 'P 1'
_symmetry_Int_Tables_number 1
_symmetry_space_group_name_Hall 'P 1'
loop_
_atom_site_label
_atom_site_type_symbol
_atom_site_fract_x
_atom_site_fract_y
_atom_site_fract_z
_atom_site_occupancy
Zr1 Zr 0.000 0.000 0.000 1
Zr2 Zr 0.003 0.500 0.491 1
Zr3 Zr 0.043 0.785 0.322 1
Zr4 Zr 0.219 0.749 0.044 1
Zr5 Zr 0.247 0.039 0.780 1
Zr6 Zr 0.256 0.532 0.275 1
Zr7 Zr 0.284 0.317 0.534 1
Zr8 Zr 0.467 0.293 0.249 1
Zr9 Zr 0.501 0.072 0.571 1
Zr10 Zr 0.509 0.566 0.072 1
Zr11 Zr 0.549 0.784 0.821 1
Zr12 Zr 0.725 0.256 0.033 1
Zr13 Zr 0.756 0.544 0.796 1
Zr14 Zr 0.768 0.034 0.286 1
Zr15 Zr 0.796 0.819 0.535 1
Zr16 Zr 0.973 0.286 0.753 1
N1 N 0.019 0.762 0.563 1
N2 N 0.026 0.265 0.521 1
N3 N 0.029 0.082 0.797 1
N4 N 0.214 0.263 0.255 1
N5 N 0.222 0.494 0.012 1
N6 N 0.252 0.074 0.553 1
N7 N 0.308 0.811 0.321 1
N8 N 0.496 0.304 0.014 1
N9 N 0.516 0.526 0.817 1
N10 N 0.529 0.568 0.332 1
N11 N 0.741 0.761 0.738 1
N12 N 0.763 0.303 0.825 1
N13 N 0.790 0.801 0.274 1
N14 N 0.795 0.045 0.058 1
N15 N 0.983 0.499 0.243 1
N16 N 0.983 0.771 0.054 1
O1 O 0.268 0.997 0.021 1
O2 O 0.289 0.587 0.562 1
O3 O 0.479 0.982 0.767 1
O4 O 0.482 0.814 0.050 1
O5 O 0.533 0.295 0.510 1
O6 O 0.709 0.025 0.510 1
O7 O 0.719 0.275 0.304 1
O8 O 0.993 0.547 0.750 1
```

Results
**VASP energy**: -9.7966 eV/atom
**Volume**: 13.46 A^3/atom
**DFT formation energy**: -2.191 eV per atom

---

No. 7
Density functional theory data (PBE) for a geometry-optimized KLuO2 structure.

Structure (CIF):
```
data_KLuO2
_chemical_formula_sum 'K3 Lu3 O6'
_cell_length_a 3.3944
_cell_length_b 3.3944
_cell_length_c 18.6848
_cell_angle_alpha 90.00
_cell_angle_beta 90.00
_cell_angle_gamma 120.00
_symmetry_space_group_name_H-M 'R -3 m'
_symmetry_Int_Tables_number 166
_symmetry_space_group_name_Hall '-R 3 2"'
loop_
_atom_site_label
_atom_site_type_symbol
_atom_site_fract_x
_atom_site_fract_y
_atom_site_fract_z
_atom_site_occupancy
K1 K 0.0000 0.0000 0.0000 1
Lu1 Lu 0.0000 0.0000 0.5000 1
O1 O 0.0000 0.0000 0.2269 1
```

Results
**VASP energy**: -6.7241 eV/atom
**Volume**: 15.54 A^3/atom
**DFT formation energy**: -3.186 eV per atom

---

No. 8
Density functional theory data (PBE) for a geometry-optimized Hg3Te2I2 structure.

Structure (CIF):
```
data_Hg3Te2I2
_chemical_formula_sum 'Hg24 Te16 I16'
_cell_length_a 14.705
_cell_length_b 10.273
_cell_length_c 14.725
_cell_angle_alpha 90.00
_cell_angle_beta 98.78
_cell_angle_gamma 90.00
_symmetry_space_group_name_H-M 'C 1 2/c 1'
_symmetry_Int_Tables_number 15
_symmetry_space_group_name_Hall '-C 2yc'
loop_
_atom_site_label
_atom_site_type_symbol
_atom_site_fract_x
_atom_site_fract_y
_atom_site_fract_z
_atom_site_occupancy
Hg1 Hg 0.000 0.170 0.250 1
Hg2 Hg 0.029 0.226 0.979 1
Hg3 Hg 0.116 0.493 0.671 1
Hg4 Hg 0.250 0.250 0.500 1
Te1 Te 0.137 0.243 0.150 1
Te2 Te 0.141 0.232 0.634 1
I1 I 0.110 0.476 0.882 1
I2 I 0.124 0.015 0.882 1
```

Results
**VASP energy**: -1.7123 eV/atom
**Volume**: 39.26 A^3/atom
**DFT formation energy**: -0.357 eV per atom